DFT (PBE with a Hubbard U) results for a relaxed structure of Ba2PrWO6.

The spin magnetization comes out at 0.10 μB per atom.

Unit cell a=8.7208 b=8.7208 c=8.7208 alpha=90.00 beta=90.00 gamma=90.00
Space group Fm-3m (No. 225)
One atom of each set of equivalent atoms:
Ba  0.2500  0.2500  0.2500 [8 per cell]
Pr  0.0000  0.0000  0.0000 [4 per cell]
W  0.0000  0.0000  0.5000 [4 per cell]
O  0.0000  0.0000  0.2702 [24 per cell]


DFT (PBE with a Hubbard U) results for a relaxed structure of Ba2PrWO6.

The spin magnetization comes out at 0.10 μB per atom.

Unit cell a=8.7120 b=8.7120 c=8.7120 alpha=90.00 beta=90.00 gamma=90.00
Space group Pn-3 (No. 201, origin choice 2)
One atom of each set of equivalent atoms:
Ba  0.2500  0.2500  0.2500 [2 per cell]
Ba  0.2500  0.2500  0.7500 [6 per cell]
Pr  0.0000  0.0000  0.0000 [4 per cell]
W  0.0000  0.0000  0.5000 [4 per cell]
O  0.0219  0.2302  0.5245 [24 per cell]


DFT (PBE with a Hubbard U) results for a relaxed structure of Ba6V4S11O5.

The spin magnetization comes out at 0.00 μB per atom.

Unit cell a=23.6165 b=14.0796 c=7.6889 alpha=90.00 beta=90.00 gamma=90.00
Space group Pnma (No. 62)
One atom of each set of equivalent atoms:
Ba  0.0425  0.2500  0.1885 [4 per cell]
Ba  0.0737  0.0168  0.7096 [8 per cell]
Ba  0.1505  0.7500  0.2129 [4 per cell]
Ba  0.2244  0.0804  0.0793 [8 per cell]
V  0.0804  0.0055  0.2052 [8 per cell]
V  0.1619  0.7500  0.7003 [4 per cell]
V  0.1661  0.2500  0.5836 [4 per cell]
S  0.0384  0.6170  0.0884 [8 per cell]
S  0.0774  0.2500  0.6517 [4 per cell]
S  0.0771  0.7500  0.5931 [4 per cell]
S  0.1537  0.5388  0.3619 [8 per cell]
S  0.1716  0.2500  0.3016 [4 per cell]
S  0.1764  0.6223  0.8571 [8 per cell]
S  0.2071  0.1232  0.6821 [8 per cell]
O  0.0332  0.0639  0.3383 [8 per cell]
O  0.1038  0.0828  0.0469 [8 per cell]
O  0.2098  0.7500  0.5320 [4 per cell]


DFT (PBE with a Hubbard U) results for a relaxed structure of Ba2ScV3O11.

The spin magnetization comes out at 0.00 μB per atom.

Unit cell a=12.2060 b=7.7453 c=11.5007 alpha=90.00 beta=103.46 gamma=90.00
Space group P2_1/c (No. 14)
One atom of each set of equivalent atoms:
Ba  0.0565  0.2481  0.3900 [4 per cell]
Ba  0.2746  0.7301  0.9438 [4 per cell]
Sc  0.4983  0.5062  0.7573 [4 per cell]
V  0.1879  0.0194  0.1736 [4 per cell]
V  0.1911  0.0190  0.6725 [4 per cell]
V  0.4055  0.2475  0.9745 [4 per cell]
O  0.1111  0.5609  0.7681 [4 per cell]
O  0.1160  0.5648  0.0406 [4 per cell]
O  0.1262  0.5566  0.5356 [4 per cell]
O  0.1310  0.5602  0.2801 [4 per cell]
O  0.1659  0.2504  0.1672 [4 per cell]
O  0.2840  0.1366  0.4455 [4 per cell]
O  0.3271  0.5510  0.7164 [4 per cell]
O  0.3314  0.5453  0.1993 [4 per cell]
O  0.3773  0.0349  0.9714 [4 per cell]
O  0.4841  0.2096  0.3623 [4 per cell]
O  0.4882  0.2020  0.6223 [4 per cell]


DFT (PBE with a Hubbard U) results for a relaxed structure of BaV2SeO8.

The spin magnetization comes out at 0.00 μB per atom.

Unit cell a=14.1920 b=5.4616 c=9.2358 alpha=90.00 beta=90.00 gamma=90.00
Space group Pnma (No. 62)
One atom of each set of equivalent atoms:
Ba  0.0771  0.2500  0.1960 [4 per cell]
V  0.1599  0.7500  0.5247 [4 per cell]
V  0.2137  0.7500  0.9320 [4 per cell]
Se  0.1018  0.2500  0.7790 [4 per cell]
O  0.0159  0.7500  0.2365 [4 per cell]
O  0.0468  0.7500  0.5737 [4 per cell]
O  0.1112  0.0028  0.9036 [8 per cell]
O  0.1918  0.0129  0.4150 [8 per cell]
O  0.1980  0.7500  0.1063 [4 per cell]
O  0.2244  0.7500  0.6813 [4 per cell]


DFT (PBE with a Hubbard U) results for a relaxed structure of Ba2VSi2O8.

Unit cell a=8.6050 b=8.6050 c=5.3328 alpha=90.00 beta=90.00 gamma=90.00
Space group P4bm (No. 100)
One atom of each set of equivalent atoms:
Ba  0.1717  0.3283  0.0000 [4 per cell]
V  0.0000  0.0000  0.5430 [2 per cell]
Si  0.1295  0.6295  0.5239 [4 per cell]
O  0.0000  0.0000  0.2299 [2 per cell]
O  0.0000  0.5000  0.6356 [2 per cell]
O  0.0774  0.7936  0.6572 [8 per cell]
O  0.1292  0.6292  0.2221 [4 per cell]


Calculated E_tot (Ry per atom), listed in the same order as above: -0.5320, -0.5368, -0.4376, -0.5586, -0.5026, -0.5535